{
  "formula": "ZrH7CN4F5",
  "functional": "PBE",
  "state": "relaxed",
  "lattice": [[6.758, 0.000, 0.000], [0.000, 7.005, 0.000], [0.000, 0.000, 16.433]],
  "species": ["Zr", "Zr", "Zr", "Zr", "H", "H", "H", "H", "H", "H", "H", "H", "H", "H", "H", "H", "H", "H", "H", "H", "H", "H", "H", "H", "H", "H", "H", "H", "H", "H", "H", "H", "C", "C", "C", "C", "N", "N", "N", "N", "N", "N", "N", "N", "N", "N", "N", "N", "N", "N", "N", "N", "F", "F", "F", "F", "F", "F", "F", "F", "F", "F", "F", "F", "F", "F", "F", "F", "F", "F", "F", "F"],
  "fractional_positions": [[0.561, 0.250, 0.292], [0.061, 0.250, 0.208], [0.439, 0.750, 0.708], [0.939, 0.750, 0.792], [0.571, 0.250, 0.823], [0.071, 0.250, 0.677], [0.429, 0.750, 0.177], [0.929, 0.750, 0.323], [0.744, 0.366, 0.651], [0.244, 0.134, 0.849], [0.256, 0.866, 0.349], [0.756, 0.634, 0.151], [0.256, 0.634, 0.349], [0.756, 0.866, 0.151], [0.744, 0.134, 0.651], [0.244, 0.366, 0.849], [0.870, 0.250, 0.886], [0.370, 0.250, 0.614], [0.130, 0.750, 0.114], [0.630, 0.750, 0.386], [0.892, 0.250, 0.992], [0.392, 0.250, 0.508], [0.108, 0.750, 0.008], [0.608, 0.750, 0.492], [0.590, 0.250, 0.072], [0.090, 0.250, 0.428], [0.410, 0.750, 0.928], [0.910, 0.750, 0.572], [0.362, 0.250, 0.019], [0.862, 0.250, 0.481], [0.638, 0.750, 0.981], [0.138, 0.750, 0.519], [0.607, 0.250, 0.947], [0.107, 0.250, 0.553], [0.393, 0.750, 0.053], [0.893, 0.750, 0.447], [0.501, 0.250, 0.878], [0.001, 0.250, 0.622], [0.499, 0.750, 0.122], [0.999, 0.750, 0.378], [0.794, 0.250, 0.620], [0.294, 0.250, 0.880], [0.206, 0.750, 0.380], [0.706, 0.750, 0.120], [0.804, 0.250, 0.942], [0.304, 0.250, 0.558], [0.196, 0.750, 0.058], [0.696, 0.750, 0.442], [0.513, 0.250, 0.019], [0.013, 0.250, 0.481], [0.487, 0.750, 0.981], [0.987, 0.750, 0.519], [0.870, 0.250, 0.317], [0.370, 0.250, 0.183], [0.130, 0.750, 0.683], [0.630, 0.750, 0.817], [0.747, 0.250, 0.180], [0.247, 0.250, 0.320], [0.253, 0.750, 0.820], [0.753, 0.750, 0.680], [0.561, 0.250, 0.414], [0.061, 0.250, 0.086], [0.439, 0.750, 0.586], [0.939, 0.750, 0.914], [0.554, 0.537, 0.283], [0.054, 0.963, 0.217], [0.446, 0.037, 0.717], [0.946, 0.463, 0.783], [0.446, 0.463, 0.717], [0.946, 0.037, 0.783], [0.554, 0.963, 0.283], [0.054, 0.537, 0.217]],
  "spacegroup": "Pnma, No. 62"
}

{
  "formula": "ZrH12C2N6F6",
  "functional": "PBE",
  "state": "relaxed",
  "lattice": [[8.291, 0.000, 0.000], [-3.635, 7.564, 0.000], [-2.173, -3.073, 9.332]],
  "species": ["Zr", "Zr", "H", "H", "H", "H", "H", "H", "H", "H", "H", "H", "H", "H", "H", "H", "H", "H", "H", "H", "H", "H", "H", "H", "H", "H", "C", "C", "C", "C", "N", "N", "N", "N", "N", "N", "N", "N", "N", "N", "N", "N", "F", "F", "F", "F", "F", "F", "F", "F", "F", "F", "F", "F"],
  "fractional_positions": [[0.479, 0.143, 0.155], [0.521, 0.857, 0.845], [0.280, 0.012, 0.416], [0.720, 0.988, 0.584], [0.249, 0.923, 0.560], [0.751, 0.077, 0.440], [0.278, 0.321, 0.776], [0.722, 0.679, 0.224], [0.253, 0.100, 0.769], [0.747, 0.900, 0.231], [0.346, 0.664, 0.116], [0.654, 0.336, 0.884], [0.355, 0.460, 0.116], [0.645, 0.540, 0.884], [0.085, 0.197, 0.109], [0.915, 0.803, 0.891], [0.920, 0.232, 0.177], [0.080, 0.768, 0.823], [0.328, 0.310, 0.441], [0.672, 0.690, 0.559], [0.313, 0.436, 0.590], [0.687, 0.564, 0.410], [0.090, 0.485, 0.819], [0.910, 0.515, 0.181], [0.125, 0.709, 0.196], [0.875, 0.291, 0.804], [0.127, 0.464, 0.158], [0.873, 0.536, 0.842], [0.264, 0.175, 0.586], [0.736, 0.825, 0.414], [0.742, 0.978, 0.487], [0.258, 0.022, 0.513], [0.247, 0.192, 0.717], [0.753, 0.808, 0.283], [0.705, 0.460, 0.863], [0.295, 0.540, 0.137], [0.042, 0.285, 0.153], [0.958, 0.715, 0.847], [0.278, 0.309, 0.527], [0.722, 0.691, 0.473], [0.950, 0.429, 0.811], [0.050, 0.571, 0.189], [0.746, 0.870, 0.985], [0.254, 0.130, 0.015], [0.410, 0.862, 0.028], [0.590, 0.138, 0.972], [0.461, 0.299, 0.326], [0.539, 0.701, 0.674], [0.648, 0.421, 0.165], [0.352, 0.579, 0.835], [0.725, 0.153, 0.265], [0.275, 0.847, 0.735], [0.311, 0.949, 0.237], [0.689, 0.051, 0.763]],
  "spacegroup": "P-1, No. 2"
}

{
  "formula": "ZrH24C8N2F6",
  "functional": "PBE",
  "state": "relaxed",
  "lattice": [[7.532, -4.236, 0.000], [7.532, 4.236, 0.000], [5.149, 0.000, 6.940]],
  "species": ["Zr", "H", "H", "H", "H", "H", "H", "H", "H", "H", "H", "H", "H", "H", "H", "H", "H", "H", "H", "H", "H", "H", "H", "H", "H", "C", "C", "C", "C", "C", "C", "C", "C", "N", "N", "F", "F", "F", "F", "F", "F"],
  "fractional_positions": [[0.000, 0.000, 0.000], [0.296, 0.234, 0.986], [0.986, 0.296, 0.234], [0.234, 0.986, 0.296], [0.704, 0.766, 0.014], [0.014, 0.704, 0.766], [0.766, 0.014, 0.704], [0.505, 0.207, 0.010], [0.010, 0.505, 0.207], [0.207, 0.010, 0.505], [0.495, 0.793, 0.990], [0.990, 0.495, 0.793], [0.793, 0.990, 0.495], [0.321, 0.440, 0.963], [0.963, 0.321, 0.440], [0.440, 0.963, 0.321], [0.679, 0.560, 0.037], [0.037, 0.679, 0.560], [0.560, 0.037, 0.679], [0.473, 0.247, 0.278], [0.278, 0.473, 0.247], [0.247, 0.278, 0.473], [0.527, 0.753, 0.722], [0.722, 0.527, 0.753], [0.753, 0.722, 0.527], [0.350, 0.285, 0.035], [0.035, 0.350, 0.285], [0.285, 0.035, 0.350], [0.650, 0.715, 0.965], [0.965, 0.650, 0.715], [0.715, 0.965, 0.650], [0.317, 0.317, 0.317], [0.683, 0.683, 0.683], [0.247, 0.247, 0.247], [0.753, 0.753, 0.753], [0.878, 0.166, 0.789], [0.789, 0.878, 0.166], [0.166, 0.789, 0.878], [0.122, 0.834, 0.211], [0.211, 0.122, 0.834], [0.834, 0.211, 0.122]],
  "spacegroup": "R-3, No. 148"
}

no.,E_form (eV per atom)
1,-1.479
2,-1.276
3,-0.816